[1]
Here is Er4MgNi after structural relaxation from the Materials Project. Energies are from meta-GGA r2SCAN.

a = 9.490 Å, b = 9.490 Å, c = 9.490 Å
α = 60.00°, β = 60.00°, γ = 60.00°
Element x y z (fractional)
Er 0.814 0.186 0.186
Er 0.186 0.814 0.814
Er 0.186 0.814 0.186
Er 0.438 0.438 0.062
Er 0.062 0.438 0.062
Er 0.438 0.062 0.062
Er 0.814 0.186 0.814
Er 0.186 0.186 0.814
Er 0.213 0.596 0.596
Er 0.596 0.596 0.596
Er 0.062 0.062 0.438
Er 0.596 0.213 0.596
Er 0.062 0.438 0.438
Er 0.596 0.596 0.213
Er 0.814 0.814 0.186
Er 0.438 0.062 0.438
Mg 0.829 0.829 0.829
Mg 0.829 0.829 0.513
Mg 0.513 0.829 0.829
Mg 0.829 0.513 0.829
Ni 0.392 0.825 0.392
Ni 0.825 0.392 0.392
Ni 0.392 0.392 0.392
Ni 0.392 0.392 0.825

Crystal system: cubic
Space group: F-43m, No. 216
Total moment: 0.000 μB/cell
Volume: 604.41 Å³ per cell
Calculated total energy: -25.51 eV per atom

[2]
Here is ErMgPd after structural relaxation from the Materials Project. Energies are from meta-GGA r2SCAN.

a = 7.333 Å, b = 7.333 Å, c = 4.062 Å
α = 90.00°, β = 90.00°, γ = 120.00°
Element x y z (fractional)
Er 0.588 0.000 0.500
Er 0.412 0.412 0.500
Er 0.000 0.588 0.500
Pd 0.333 0.667 0.000
Pd 0.000 0.000 0.500
Pd 0.667 0.333 0.000
Mg 0.244 0.000 0.000
Mg 0.756 0.756 0.000
Mg 0.000 0.244 0.000

Crystal system: hexagonal
Space group: P-62m, No. 189
Total moment: 0.000 μB/cell
Volume: 189.19 Å³ per cell
Calculated total energy: -21.05 eV per atom

[3]
Here is Er2MgS4 after structural relaxation from the Materials Project. Energies are from meta-GGA r2SCAN.

a = 7.809 Å, b = 7.809 Å, c = 7.809 Å
α = 60.00°, β = 60.00°, γ = 60.00°
Element x y z (fractional)
Er 0.125 0.625 0.125
Er 0.125 0.125 0.625
Er 0.125 0.125 0.125
Er 0.625 0.125 0.125
S 0.370 0.370 0.370
S 0.880 0.880 0.359
S 0.359 0.880 0.880
S 0.880 0.880 0.880
S 0.891 0.370 0.370
S 0.370 0.891 0.370
S 0.880 0.359 0.880
S 0.370 0.370 0.891
Mg 0.750 0.750 0.750
Mg 0.500 0.500 0.500

Crystal system: cubic
Space group: Fd-3m, No. 227
Total moment: 0.000 μB/cell
Volume: 336.70 Å³ per cell
Calculated total energy: -17.05 eV per atom

[4]
Here is ErMg2Sc after structural relaxation from the Materials Project. Energies are from meta-GGA r2SCAN.

a = 5.200 Å, b = 5.200 Å, c = 5.200 Å
α = 60.00°, β = 60.00°, γ = 60.00°
Element x y z (fractional)
Mg 0.750 0.750 0.750
Mg 0.250 0.250 0.250
Sc 0.000 0.000 0.000
Er 0.500 0.500 0.500

Crystal system: cubic
Space group: Fm-3m, No. 225
Total moment: 0.000 μB/cell
Volume: 99.43 Å³ per cell
Calculated total energy: -13.46 eV per atom

[5]
Here is Er2MgSi2 after structural relaxation from the Materials Project. Energies are from meta-GGA r2SCAN.

a = 7.098 Å, b = 7.098 Å, c = 4.160 Å
α = 90.00°, β = 90.00°, γ = 90.00°
Element x y z (fractional)
Er 0.678 0.178 0.500
Er 0.178 0.322 0.500
Er 0.822 0.678 0.500
Er 0.322 0.822 0.500
Mg 0.500 0.500 0.000
Mg 0.000 0.000 0.000
Si 0.118 0.618 0.000
Si 0.618 0.882 0.000
Si 0.882 0.382 0.000
Si 0.382 0.118 0.000

Crystal system: tetragonal
Space group: P4/mbm, No. 127
Total moment: 0.000 μB/cell
Volume: 209.57 Å³ per cell
Calculated total energy: -18.68 eV per atom

[6]
Here is SmErMg2 after structural relaxation from the Materials Project. Energies are from meta-GGA r2SCAN.

a = 5.382 Å, b = 5.382 Å, c = 5.382 Å
α = 60.00°, β = 60.00°, γ = 60.00°
Element x y z (fractional)
Sm 0.750 0.750 0.750
Mg 0.000 0.000 0.000
Mg 0.500 0.500 0.500
Er 0.250 0.250 0.250

Crystal system: cubic
Space group: Fm-3m, No. 225
Total moment: 0.000 μB/cell
Volume: 110.22 Å³ per cell
Calculated total energy: -18.09 eV per atom

[7]
Here is ErMgSn after structural relaxation from the Materials Project. Energies are from meta-GGA r2SCAN.

a = 8.465 Å, b = 8.465 Å, c = 8.465 Å
α = 150.21°, β = 150.21°, γ = 42.63°
Element x y z (fractional)
Sn 0.863 0.863 0.000
Sn 0.137 0.137 0.000
Mg 0.500 0.000 0.500
Mg 0.000 0.500 0.500
Er 0.668 0.668 0.000
Er 0.332 0.332 0.000

Crystal system: tetragonal
Space group: I4/mmm, No. 139
Total moment: 0.000 μB/cell
Volume: 149.34 Å³ per cell
Calculated total energy: -21.57 eV per atom

[8]
Here is Er2MgTl after structural relaxation from the Materials Project. Energies are from meta-GGA r2SCAN.

a = 5.261 Å, b = 5.261 Å, c = 5.261 Å
α = 60.00°, β = 60.00°, γ = 60.00°
Element x y z (fractional)
Tl 0.750 0.750 0.750
Er 0.500 0.500 0.500
Er 0.000 0.000 0.000
Mg 0.250 0.250 0.250

Crystal system: cubic
Space group: Fm-3m, No. 225
Total moment: 0.002 μB/cell
Volume: 102.94 Å³ per cell
Calculated total energy: -31.56 eV per atom

[9]
Here is ErTmMg2 after structural relaxation from the Materials Project. Energies are from meta-GGA r2SCAN.

a = 5.303 Å, b = 5.303 Å, c = 5.303 Å
α = 60.00°, β = 60.00°, γ = 60.00°
Element x y z (fractional)
Er 0.500 0.500 0.500
Tm 0.000 0.000 0.000
Mg 0.750 0.750 0.750
Mg 0.250 0.250 0.250

Crystal system: cubic
Space group: Fm-3m, No. 225
Total moment: 0.000 μB/cell
Volume: 105.43 Å³ per cell
Calculated total energy: -19.42 eV per atom

[10]
Here is ErMn2 after structural relaxation from the Materials Project. Energies are from meta-GGA r2SCAN.

a = 5.459 Å, b = 5.459 Å, c = 8.870 Å
α = 90.00°, β = 90.00°, γ = 120.00°
Element x y z (fractional)
Er 0.667 0.333 0.932
Er 0.333 0.667 0.068
Er 0.667 0.333 0.568
Er 0.333 0.667 0.432
Mn 0.000 0.000 0.500
Mn 0.000 0.000 0.000
Mn 0.832 0.663 0.250
Mn 0.832 0.168 0.250
Mn 0.337 0.168 0.250
Mn 0.168 0.337 0.750
Mn 0.663 0.832 0.750
Mn 0.168 0.832 0.750

Crystal system: hexagonal
Space group: P6_3/mmc, No. 194
Total moment: 11.969 μB/cell
Volume: 228.95 Å³ per cell
Calculated total energy: -21.23 eV per atom

[11]
Here is Er2Mn2O7 after structural relaxation from the Materials Project. Energies are from meta-GGA r2SCAN.

a = 6.952 Å, b = 6.952 Å, c = 6.952 Å
α = 60.00°, β = 60.00°, γ = 60.00°
Element x y z (fractional)
Mn 0.000 0.000 0.000
Mn 0.000 0.500 0.000
Mn 0.000 0.000 0.500
Mn 0.500 0.000 0.000
O 0.329 0.329 0.921
O 0.329 0.921 0.329
O 0.079 0.079 0.671
O 0.921 0.329 0.921
O 0.625 0.625 0.625
O 0.079 0.671 0.671
O 0.671 0.079 0.671
O 0.329 0.921 0.921
O 0.375 0.375 0.375
O 0.671 0.671 0.079
O 0.921 0.921 0.329
O 0.921 0.329 0.329
O 0.671 0.079 0.079
O 0.079 0.671 0.079
Er 0.500 0.000 0.500
Er 0.500 0.500 0.000
Er 0.500 0.500 0.500
Er 0.000 0.500 0.500

Crystal system: cubic
Space group: Fd-3m, No. 227
Total moment: 12.000 μB/cell
Volume: 237.55 Å³ per cell
Calculated total energy: -15.66 eV per atom

[12]
Here is Er2MnS4 after structural relaxation from the Materials Project. Energies are from meta-GGA r2SCAN.

a = 6.443 Å, b = 6.443 Å, c = 12.739 Å
α = 90.00°, β = 90.00°, γ = 146.22°
Element x y z (fractional)
Er 0.381 0.619 0.786
Er 0.139 0.861 0.583
Er 0.619 0.381 0.286
Er 0.861 0.139 0.083
S 0.238 0.762 0.396
S 0.963 0.037 0.267
S 0.762 0.238 0.896
S 0.037 0.963 0.767
S 0.514 0.486 0.495
S 0.211 0.789 0.136
S 0.789 0.211 0.636
S 0.486 0.514 0.995
Mn 0.125 0.875 0.946
Mn 0.875 0.125 0.446

Crystal system: orthorhombic
Space group: Cmc2_1, No. 36
Total moment: 10.000 μB/cell
Volume: 294.08 Å³ per cell
Calculated total energy: -18.38 eV per atom

[13]
Here is Er2Mn3Si5 after structural relaxation from the Materials Project. Energies are from meta-GGA r2SCAN.

a = 10.568 Å, b = 10.568 Å, c = 5.413 Å
α = 90.00°, β = 90.00°, γ = 90.00°
Element x y z (fractional)
Si 0.324 0.824 0.250
Si 0.684 0.977 0.500
Si 0.023 0.684 0.500
Si 0.176 0.324 0.250
Si 0.184 0.523 0.000
Si 0.824 0.676 0.750
Si 0.676 0.176 0.750
Si 0.824 0.676 0.250
Si 0.816 0.477 0.000
Si 0.000 0.000 0.238
Si 0.523 0.816 0.000
Si 0.324 0.824 0.750
Si 0.316 0.023 0.500
Si 0.977 0.316 0.500
Si 0.676 0.176 0.250
Si 0.500 0.500 0.738
Si 0.176 0.324 0.750
Si 0.477 0.184 0.000
Si 0.500 0.500 0.262
Si 0.000 0.000 0.762
Mn 0.640 0.618 0.000
Mn 0.500 0.000 0.750
Mn 0.618 0.360 0.000
Mn 0.118 0.140 0.500
Mn 0.382 0.640 0.000
Mn 0.860 0.118 0.500
Mn 0.500 0.000 0.250
Mn 0.360 0.382 0.000
Mn 0.000 0.500 0.750
Mn 0.140 0.882 0.500
Mn 0.882 0.860 0.500
Mn 0.000 0.500 0.250
Er 0.262 0.575 0.500
Er 0.238 0.075 0.000
Er 0.575 0.738 0.500
Er 0.738 0.425 0.500
Er 0.762 0.925 0.000
Er 0.075 0.762 0.000
Er 0.425 0.262 0.500
Er 0.925 0.238 0.000

Crystal system: tetragonal
Space group: P4/mnc, No. 128
Total moment: 6.316 μB/cell
Volume: 604.51 Å³ per cell
Calculated total energy: -16.20 eV per atom

[14]
Here is ErMn6Sn6 after structural relaxation from the Materials Project. Energies are from meta-GGA r2SCAN.

a = 5.671 Å, b = 5.671 Å, c = 9.162 Å
α = 90.00°, β = 90.00°, γ = 120.00°
Element x y z (fractional)
Mn 0.500 0.000 0.753
Mn 0.500 0.500 0.753
Mn 0.500 0.500 0.247
Mn 0.000 0.500 0.247
Mn 0.500 0.000 0.247
Mn 0.000 0.500 0.753
Sn 0.000 0.000 0.665
Sn 0.000 0.000 0.335
Sn 0.667 0.333 0.000
Sn 0.667 0.333 0.500
Sn 0.333 0.667 0.500
Sn 0.333 0.667 0.000
Er 0.000 0.000 0.000

Crystal system: hexagonal
Space group: P6/mmm, No. 191
Total moment: 21.019 μB/cell
Volume: 255.17 Å³ per cell
Calculated total energy: -21.06 eV per atom

[15]
Here is Er2Si4Mo3 after structural relaxation from the Materials Project. Energies are from meta-GGA r2SCAN.

a = 6.876 Å, b = 6.692 Å, c = 6.812 Å
α = 71.19°, β = 90.00°, γ = 90.00°
Element x y z (fractional)
Er 0.670 0.437 0.192
Er 0.170 0.063 0.808
Er 0.830 0.937 0.192
Er 0.330 0.563 0.808
Si 0.869 0.128 0.504
Si 0.131 0.872 0.496
Si 0.631 0.628 0.504
Si 0.456 0.133 0.089
Si 0.544 0.867 0.911
Si 0.956 0.367 0.911
Si 0.044 0.633 0.089
Si 0.369 0.372 0.496
Mo 0.663 0.248 0.751
Mo 0.163 0.252 0.249
Mo 0.837 0.748 0.751
Mo 0.000 0.500 0.500
Mo 0.500 0.000 0.500
Mo 0.337 0.752 0.249

Crystal system: monoclinic
Space group: P2_1/c, No. 14
Total moment: 0.000 μB/cell
Volume: 296.72 Å³ per cell
Calculated total energy: -20.84 eV per atom

[16]
Here is Er6Si11N20O after structural relaxation from the Materials Project. Energies are from meta-GGA r2SCAN.

a = 9.731 Å, b = 9.731 Å, c = 10.614 Å
α = 90.00°, β = 90.00°, γ = 120.00°
Element x y z (fractional)
Si 0.010 0.537 0.745
Si 0.184 0.844 0.857
Si 0.816 0.660 0.357
Si 0.463 0.473 0.745
Si 0.156 0.340 0.857
Si 0.131 0.574 0.006
Si 0.869 0.443 0.506
Si 0.443 0.869 0.006
Si 0.557 0.426 0.506
Si 0.667 0.333 0.812
Si 0.000 0.000 0.435
Si 0.574 0.131 0.506
Si 0.537 0.010 0.245
Si 0.844 0.184 0.357
Si 0.333 0.667 0.312
Si 0.473 0.463 0.245
Si 0.000 0.000 0.935
Si 0.990 0.527 0.245
Si 0.527 0.990 0.745
Si 0.660 0.816 0.857
Si 0.426 0.557 0.006
Si 0.340 0.156 0.357
N 0.984 0.160 0.878
N 0.636 0.912 0.987
N 0.522 0.615 0.862
N 0.431 0.009 0.613
N 0.177 0.016 0.878
N 0.016 0.177 0.378
N 0.912 0.636 0.487
N 0.667 0.333 0.538
N 0.744 0.108 0.215
N 0.256 0.364 0.715
N 0.314 0.486 0.290
N 0.385 0.907 0.862
N 0.514 0.828 0.290
N 0.724 0.088 0.487
N 0.840 0.823 0.878
N 0.172 0.686 0.290
N 0.991 0.423 0.613
N 0.333 0.667 0.038
N 0.478 0.093 0.362
N 0.828 0.514 0.790
N 0.569 0.577 0.113
N 0.907 0.385 0.362
N 0.000 0.000 0.099
N 0.486 0.314 0.790
N 0.686 0.172 0.790
N 0.615 0.522 0.362
N 0.093 0.478 0.862
N 0.364 0.256 0.215
N 0.423 0.991 0.113
N 0.160 0.984 0.378
N 0.636 0.892 0.715
N 0.823 0.840 0.378
N 0.577 0.569 0.613
N 0.088 0.724 0.987
N 0.276 0.364 0.987
N 0.364 0.276 0.487
N 0.000 0.000 0.599
N 0.108 0.744 0.715
N 0.009 0.431 0.113
N 0.892 0.636 0.215
Er 0.873 0.135 0.675
Er 0.865 0.737 0.675
Er 0.399 0.203 0.001
Er 0.737 0.865 0.175
Er 0.797 0.196 0.001
Er 0.127 0.263 0.175
Er 0.135 0.873 0.175
Er 0.804 0.601 0.001
Er 0.196 0.797 0.501
Er 0.601 0.804 0.501
Er 0.203 0.399 0.501
Er 0.263 0.127 0.675
O 0.667 0.333 0.980
O 0.333 0.667 0.480

Crystal system: trigonal
Space group: P31c, No. 159
Total moment: 0.000 μB/cell
Volume: 870.47 Å³ per cell
Calculated total energy: -14.56 eV per atom

[17]
Here is NdErTl2 after structural relaxation from the Materials Project. Energies are from meta-GGA r2SCAN.

a = 5.396 Å, b = 5.396 Å, c = 5.396 Å
α = 60.00°, β = 60.00°, γ = 60.00°
Element x y z (fractional)
Nd 0.750 0.750 0.750
Tl 0.000 0.000 0.000
Tl 0.500 0.500 0.500
Er 0.250 0.250 0.250

Crystal system: cubic
Space group: Fm-3m, No. 225
Total moment: 0.000 μB/cell
Volume: 111.07 Å³ per cell
Calculated total energy: -42.87 eV per atom

[18]
Here is ErNi2 after structural relaxation from the Materials Project. Energies are from meta-GGA r2SCAN.

a = 4.981 Å, b = 4.981 Å, c = 4.981 Å
α = 60.00°, β = 60.00°, γ = 60.00°
Element x y z (fractional)
Ni 0.500 0.500 0.000
Ni 0.000 0.500 0.500
Ni 0.500 0.500 0.500
Ni 0.500 0.000 0.500
Er 0.875 0.875 0.875
Er 0.125 0.125 0.125

Crystal system: cubic
Space group: Fd-3m, No. 227
Total moment: 0.000 μB/cell
Volume: 87.39 Å³ per cell
Calculated total energy: -19.75 eV per atom